i.
First-principles (GGA+U) data for a relaxed structure of Mo4O11, as listed in the Materials Project.

abc: 5.5421 6.8625 24.9662
angles: 90.00 90.00 90.00
Sites, in units of the cell vectors:
1 Mo 0.2633 0.1286 0.2052
2 Mo 0.7634 0.8714 0.7948
3 Mo 0.2633 0.3714 0.7052
4 Mo 0.7634 0.6286 0.2948
5 Mo 0.7448 0.8049 0.1474
6 Mo 0.2448 0.1951 0.8526
7 Mo 0.7448 0.6951 0.6474
8 Mo 0.2448 0.3049 0.3526
9 Mo 0.2490 0.4830 0.0872
10 Mo 0.7490 0.5170 0.9128
11 Mo 0.2490 0.0170 0.5872
12 Mo 0.7490 0.9830 0.4128
13 Mo 0.7487 0.1589 0.0291
14 Mo 0.2487 0.8411 0.9709
15 Mo 0.7487 0.3411 0.5291
16 Mo 0.2487 0.6589 0.4709
17 O 0.9860 0.9917 0.9979
18 O 0.4860 0.0083 0.0021
19 O 0.9860 0.5083 0.4979
20 O 0.4860 0.4917 0.5021
21 O 0.2421 0.3411 0.1638
22 O 0.7421 0.6589 0.8362
23 O 0.2421 0.1589 0.6638
24 O 0.7421 0.8411 0.3362
25 O 0.7371 0.6773 0.2240
26 O 0.2371 0.3227 0.7760
27 O 0.7371 0.8227 0.7240
28 O 0.2371 0.1773 0.2760
29 O 0.0170 0.3161 0.0610
30 O 0.5170 0.6839 0.9390
31 O 0.0170 0.1839 0.5610
32 O 0.5170 0.8161 0.4390
33 O 0.0106 0.6634 0.9343
34 O 0.5106 0.3366 0.0657
35 O 0.0106 0.8366 0.4343
36 O 0.5106 0.1634 0.5657
37 O 0.9716 0.6404 0.1227
38 O 0.4716 0.3596 0.8773
39 O 0.9716 0.8596 0.6227
40 O 0.4716 0.1404 0.3773
41 O 0.9755 0.3254 0.8722
42 O 0.4755 0.6746 0.1278
43 O 0.9755 0.1746 0.3722
44 O 0.4755 0.8254 0.6278
45 O 0.0324 0.9629 0.1863
46 O 0.5324 0.0371 0.8137
47 O 0.0324 0.5371 0.6863
48 O 0.5324 0.4629 0.3137
49 O 0.0488 0.9837 0.8072
50 O 0.5488 0.0163 0.1928
51 O 0.0488 0.5163 0.3072
52 O 0.5488 0.4837 0.6928
53 O 0.2472 0.6584 0.0308
54 O 0.7472 0.3416 0.9692
55 O 0.2472 0.8416 0.5308
56 O 0.7472 0.1584 0.4692
57 O 0.7522 0.9827 0.0939
58 O 0.2522 0.0173 0.9061
59 O 0.7522 0.5173 0.5939
60 O 0.2522 0.4827 0.4061

Space group   Pna2_1



ii.
First-principles (GGA+U) data for a relaxed structure of Mo4O11, as listed in the Materials Project.

abc: 5.6302 6.9475 25.0937
angles: 90.00 90.00 90.00
Sites, in units of the cell vectors:
1 Mo 0.2500 0.6299 0.7049
2 Mo 0.2500 0.8701 0.2049
3 Mo 0.7500 0.3701 0.2951
4 Mo 0.7500 0.1299 0.7951
5 Mo 0.7500 0.3010 0.6476
6 Mo 0.7500 0.1990 0.1476
7 Mo 0.2500 0.6990 0.3524
8 Mo 0.2500 0.8010 0.8524
9 Mo 0.2500 0.9781 0.5862
10 Mo 0.2500 0.5219 0.0862
11 Mo 0.7500 0.0219 0.4138
12 Mo 0.7500 0.4781 0.9138
13 Mo 0.7500 0.6540 0.5293
14 Mo 0.7500 0.8460 0.0293
15 Mo 0.2500 0.3460 0.4707
16 Mo 0.2500 0.1540 0.9707
17 O 0.0000 0.5000 0.5000
18 O 0.5000 0.0000 0.0000
19 O 0.5000 0.5000 0.5000
20 O 0.0000 0.0000 0.0000
21 O 0.9963 0.1549 0.6277
22 O 0.5037 0.3451 0.1277
23 O 0.4963 0.8451 0.3723
24 O 0.0037 0.6549 0.8723
25 O 0.0037 0.8451 0.3723
26 O 0.4963 0.6549 0.8723
27 O 0.5037 0.1549 0.6277
28 O 0.9963 0.3451 0.1277
29 O 0.0062 0.8276 0.5649
30 O 0.4938 0.6724 0.0649
31 O 0.5062 0.1724 0.4351
32 O 0.9938 0.3276 0.9351
33 O 0.9938 0.1724 0.4351
34 O 0.5062 0.3276 0.9351
35 O 0.4938 0.8276 0.5649
36 O 0.0062 0.6724 0.0649
37 O 0.9935 0.4902 0.6900
38 O 0.5065 0.0098 0.1900
39 O 0.4935 0.5098 0.3100
40 O 0.0065 0.9902 0.8100
41 O 0.0065 0.5098 0.3100
42 O 0.4935 0.9902 0.8100
43 O 0.5065 0.4902 0.6900
44 O 0.9935 0.0098 0.1900
45 O 0.2500 0.1556 0.5336
46 O 0.2500 0.3444 0.0336
47 O 0.7500 0.8444 0.4664
48 O 0.7500 0.6556 0.9664
49 O 0.7500 0.4773 0.5956
50 O 0.7500 0.0227 0.0956
51 O 0.2500 0.5227 0.4044
52 O 0.2500 0.9773 0.9044
53 O 0.2500 0.8414 0.6636
54 O 0.2500 0.6586 0.1636
55 O 0.7500 0.1586 0.3364
56 O 0.7500 0.3414 0.8364
57 O 0.7500 0.1828 0.7247
58 O 0.7500 0.3172 0.2247
59 O 0.2500 0.8172 0.2753
60 O 0.2500 0.6828 0.7753

Space group   Pnma



Best to worst by energy: ii, i.



i.
First-principles (GGA+U) data for a relaxed structure of Li3Fe8B8O24, as listed in the Materials Project.

abc: 5.2972 9.0761 10.1873
angles: 90.05 90.85 90.07
Sites, in units of the cell vectors:
1 Li 0.3479 0.0004 0.9049
2 Li 0.1484 0.4916 0.6627
3 Li 0.1472 0.5155 0.1721
4 Fe 0.8399 0.1693 0.8778
5 Fe 0.1611 0.1557 0.6228
6 Fe 0.6597 0.3267 0.1328
7 Fe 0.3550 0.3364 0.3827
8 Fe 0.6585 0.6742 0.6306
9 Fe 0.8346 0.8297 0.3707
10 Fe 0.3475 0.6588 0.8859
11 Fe 0.1653 0.8496 0.1332
12 B 0.8450 0.1613 0.3754
13 B 0.6686 0.3376 0.6351
14 B 0.1783 0.1807 0.1162
15 B 0.3329 0.3220 0.8712
16 B 0.6562 0.6562 0.1335
17 B 0.3284 0.6753 0.3793
18 B 0.8460 0.8417 0.8736
19 B 0.1630 0.8245 0.6280
20 O 0.7375 0.0266 0.3693
21 O 0.9269 0.1959 0.0711
22 O 0.2994 0.0517 0.1034
23 O 0.8100 0.2153 0.6785
24 O 0.7172 0.2828 0.3230
25 O 0.2066 0.1890 0.8335
26 O 0.0813 0.1847 0.4362
27 O 0.5716 0.3031 0.9289
28 O 0.7805 0.4729 0.6307
29 O 0.4146 0.3185 0.5991
30 O 0.2932 0.3097 0.1643
31 O 0.7835 0.5232 0.1293
32 O 0.2278 0.4536 0.8502
33 O 0.7138 0.7197 0.8244
34 O 0.5728 0.6941 0.4337
35 O 0.2306 0.5391 0.3633
36 O 0.4019 0.6636 0.0956
37 O 0.9210 0.8090 0.5753
38 O 0.7870 0.7803 0.1766
39 O 0.2933 0.6956 0.6627
40 O 0.1962 0.8015 0.3417
41 O 0.7154 0.9747 0.8787
42 O 0.0945 0.8332 0.9151
43 O 0.2655 0.9607 0.6481

Space group   P1



ii.
First-principles (GGA+U) data for a relaxed structure of Li3Fe8B8O24, as listed in the Materials Project.

abc: 5.3124 9.0364 10.1364
angles: 89.45 88.89 89.53
Sites, in units of the cell vectors:
1 Li 0.3505 0.9934 0.0932
2 Li 0.1516 0.4863 0.8452
3 Li 0.6563 0.0093 0.3538
4 Fe 0.8511 0.8321 0.1188
5 Fe 0.1601 0.8288 0.3727
6 Fe 0.6588 0.6699 0.8764
7 Fe 0.3495 0.6680 0.6221
8 Fe 0.6647 0.3385 0.3605
9 Fe 0.8384 0.1714 0.6274
10 Fe 0.3284 0.3445 0.1215
11 Fe 0.1642 0.1512 0.8700
12 B 0.8338 0.8355 0.6204
13 B 0.6730 0.6709 0.3764
14 B 0.1728 0.8220 0.8754
15 B 0.3337 0.6728 0.1210
16 B 0.6557 0.3387 0.8653
17 B 0.3408 0.3290 0.6185
18 B 0.8358 0.1637 0.1298
19 B 0.1695 0.1658 0.3710
20 O 0.7363 0.9729 0.6107
21 O 0.9229 0.8084 0.9103
22 O 0.3006 0.9480 0.8953
23 O 0.8005 0.8005 0.3398
24 O 0.6948 0.7167 0.6714
25 O 0.2246 0.8035 0.1781
26 O 0.0790 0.8047 0.5728
27 O 0.5730 0.6913 0.0658
28 O 0.7726 0.5356 0.3660
29 O 0.4268 0.6921 0.4283
30 O 0.2938 0.6926 0.8246
31 O 0.7813 0.4722 0.8664
32 O 0.2026 0.5481 0.1160
33 O 0.7114 0.2946 0.1683
34 O 0.5819 0.3077 0.5635
35 O 0.2562 0.4692 0.6464
36 O 0.4054 0.3290 0.9044
37 O 0.9126 0.1771 0.4078
38 O 0.7893 0.2145 0.8197
39 O 0.3058 0.2895 0.3382
40 O 0.1946 0.2078 0.6506
41 O 0.7044 0.0335 0.1428
42 O 0.0852 0.1657 0.0857
43 O 0.2811 0.0270 0.3661

Space group   P1



Best to worst by energy: i, ii.



i.
First-principles (GGA+U) data for a relaxed structure of Li3Fe8B8O24, as listed in the Materials Project.

abc: 5.2940 9.1023 11.3665
angles: 113.12 103.39 89.76
Sites, in units of the cell vectors:
1 Li 0.8119 0.1741 0.3341
2 Li 0.0749 0.4077 0.8403
3 Li 0.5733 0.9061 0.8367
4 Fe 0.6005 0.5903 0.8741
5 Fe 0.9055 0.8883 0.1189
6 Fe 0.1614 0.4819 0.6225
7 Fe 0.3453 0.0204 0.3735
8 Fe 0.6565 0.9816 0.6215
9 Fe 0.8465 0.5276 0.3689
10 Fe 0.0992 0.0918 0.8756
11 Fe 0.3949 0.3960 0.1187
12 B 0.3605 0.3561 0.3702
13 B 0.1021 0.7656 0.8712
14 B 0.8486 0.8569 0.3717
15 B 0.6029 0.2634 0.8721
16 B 0.1528 0.1456 0.6282
17 B 0.3959 0.7284 0.1191
18 B 0.6557 0.6432 0.6229
19 B 0.9028 0.2346 0.1293
20 O 0.8730 0.7880 0.9172
21 O 0.5286 0.5424 0.6609
22 O 0.8178 0.1023 0.1436
23 O 0.4809 0.2256 0.3704
24 O 0.1226 0.3881 0.4126
25 O 0.1818 0.6086 0.8230
26 O 0.7375 0.3868 0.8675
27 O 0.9379 0.9625 0.3232
28 O 0.2748 0.8689 0.1624
29 O 0.3651 0.0949 0.5780
30 O 0.0688 0.2934 0.6410
31 O 0.6203 0.7312 0.0759
32 O 0.3737 0.2873 0.9182
33 O 0.6400 0.9000 0.4293
34 O 0.6858 0.1083 0.8300
35 O 0.0242 0.0501 0.6698
36 O 0.2906 0.5889 0.1135
37 O 0.7750 0.3752 0.1702
38 O 0.8647 0.5894 0.5652
39 O 0.5836 0.7936 0.6475
40 O 0.9565 0.7176 0.3621
41 O 0.2412 0.8892 0.8704
42 O 0.4615 0.4643 0.3276
43 O 0.1159 0.2348 0.0791

Space group   P1



ii.
First-principles (GGA+U) data for a relaxed structure of Li3Fe8B8O24, as listed in the Materials Project.

abc: 5.2603 9.1136 11.3925
angles: 113.54 102.96 89.25
Sites, in units of the cell vectors:
1 Li 0.0273 0.0332 0.4090
2 Li 0.4959 0.5091 0.6657
3 Li 0.2590 0.2466 0.1541
4 Fe 0.0075 0.3550 0.3752
5 Fe 0.2705 0.9399 0.8830
6 Fe 0.4826 0.1507 0.6338
7 Fe 0.2460 0.5690 0.1264
8 Fe 0.7711 0.4364 0.8863
9 Fe 0.5177 0.8431 0.3724
10 Fe 0.9765 0.6598 0.6279
11 Fe 0.7439 0.0496 0.1226
12 B 0.0284 0.6943 0.3803
13 B 0.2560 0.6016 0.8703
14 B 0.4722 0.8088 0.6236
15 B 0.2425 0.9004 0.1354
16 B 0.5139 0.1800 0.3764
17 B 0.7714 0.1061 0.8791
18 B 0.9763 0.3187 0.6233
19 B 0.7304 0.3916 0.1280
20 O 0.0326 0.0935 0.8865
21 O 0.1254 0.7150 0.8287
22 O 0.1282 0.5225 0.9232
23 O 0.1051 0.1868 0.6075
24 O 0.0738 0.4357 0.5833
25 O 0.2448 0.8319 0.6728
26 O 0.2537 0.6723 0.3351
27 O 0.5017 0.5682 0.8519
28 O 0.6431 0.2160 0.8360
29 O 0.4300 0.0682 0.4168
30 O 0.3497 0.2909 0.3569
31 O 0.6329 0.0120 0.9182
32 O 0.3440 0.9985 0.0825
33 O 0.6170 0.6827 0.6291
34 O 0.5429 0.9089 0.5716
35 O 0.4116 0.8032 0.1796
36 O 0.4755 0.3951 0.1316
37 O 0.7507 0.3505 0.6705
38 O 0.7652 0.1765 0.3533
39 O 0.9534 0.5842 0.4282
40 O 0.8831 0.8196 0.3834
41 O 0.8502 0.4778 0.0760
42 O 0.8925 0.2938 0.1800
43 O 0.9934 0.9034 0.1457

Space group   P1



Best to worst by energy: i, ii.



i.
First-principles (GGA+U) data for a relaxed structure of Li3Fe8B8O24, as listed in the Materials Project.

abc: 5.2594 9.1718 10.0832
angles: 89.13 89.86 89.34
Sites, in units of the cell vectors:
1 Li 0.1816 0.1692 0.1578
2 Li 0.3322 0.3258 0.8879
3 Li 0.6612 0.6710 0.6480
4 Fe 0.1645 0.8402 0.6318
5 Fe 0.1838 0.5042 0.1338
6 Fe 0.3088 0.9953 0.8773
7 Fe 0.3331 0.6673 0.3749
8 Fe 0.6655 0.3350 0.6257
9 Fe 0.6728 0.9976 0.1227
10 Fe 0.8261 0.1584 0.3856
11 Fe 0.8328 0.4976 0.8809
12 B 0.1666 0.5076 0.6353
13 B 0.1676 0.8383 0.1331
14 B 0.3364 0.9967 0.3736
15 B 0.3265 0.6579 0.8673
16 B 0.6612 0.9927 0.6265
17 B 0.6701 0.3249 0.1211
18 B 0.8382 0.4982 0.3813
19 B 0.8277 0.1746 0.8868
20 O 0.0912 0.5128 0.3424
21 O 0.0861 0.1716 0.8908
22 O 0.2005 0.7848 0.8283
23 O 0.2534 0.8678 0.4325
24 O 0.1743 0.1118 0.3525
25 O 0.1903 0.5395 0.9193
26 O 0.3085 0.3865 0.6500
27 O 0.3099 0.9605 0.0925
28 O 0.2743 0.6398 0.5840
29 O 0.2957 0.7144 0.1791
30 O 0.4100 0.3252 0.1117
31 O 0.4083 0.9925 0.6680
32 O 0.5879 0.0057 0.3290
33 O 0.5830 0.6438 0.8500
34 O 0.6982 0.3021 0.8420
35 O 0.7515 0.3599 0.4176
36 O 0.6788 0.6159 0.3901
37 O 0.6777 0.0595 0.9302
38 O 0.8149 0.4416 0.0767
39 O 0.8037 0.8663 0.6328
40 O 0.7664 0.1211 0.5776
41 O 0.8030 0.1993 0.1706
42 O 0.9102 0.8457 0.1257
43 O 0.9109 0.5139 0.6762

Space group   P1



ii.
First-principles (GGA+U) data for a relaxed structure of Li3Fe8B8O24, as listed in the Materials Project.

abc: 5.2357 9.1074 10.1820
angles: 89.59 89.24 89.59
Sites, in units of the cell vectors:
1 Li 0.1484 0.1790 0.6634
2 Li 0.1870 0.1698 0.1597
3 Li 0.3302 0.3347 0.3989
4 Fe 0.1617 0.8301 0.6292
5 Fe 0.1830 0.5055 0.1256
6 Fe 0.3299 0.9921 0.8780
7 Fe 0.3328 0.6694 0.3743
8 Fe 0.6543 0.3494 0.6304
9 Fe 0.6697 0.9963 0.1301
10 Fe 0.8304 0.1540 0.3846
11 Fe 0.8302 0.4981 0.8830
12 B 0.1516 0.4985 0.6225
13 B 0.1628 0.8368 0.1315
14 B 0.3410 0.9986 0.3769
15 B 0.3354 0.6653 0.8761
16 B 0.6721 0.0044 0.6337
17 B 0.6785 0.3227 0.1255
18 B 0.8276 0.4965 0.3752
19 B 0.8198 0.1665 0.8762
20 O 0.0932 0.4990 0.3447
21 O 0.0782 0.1410 0.8573
22 O 0.2221 0.7974 0.8274
23 O 0.2401 0.8714 0.4345
24 O 0.2064 0.1280 0.3698
25 O 0.1752 0.5580 0.9237
26 O 0.2798 0.3675 0.6020
27 O 0.3057 0.9595 0.0815
28 O 0.2575 0.6309 0.5755
29 O 0.2926 0.7176 0.1825
30 O 0.4205 0.3260 0.1440
31 O 0.4060 0.0047 0.6707
32 O 0.5834 0.9920 0.3218
33 O 0.5905 0.6515 0.8765
34 O 0.7085 0.2973 0.8408
35 O 0.7175 0.3646 0.4162
36 O 0.6799 0.6196 0.3677
37 O 0.6675 0.0533 0.9286
38 O 0.8211 0.4388 0.0768
39 O 0.8134 0.8791 0.6390
40 O 0.7821 0.1355 0.5939
41 O 0.8169 0.1924 0.1604
42 O 0.9067 0.8451 0.1262
43 O 0.9177 0.5023 0.6847

Space group   P1



Best to worst by energy: i, ii.